Density functional theory data (GGA-PBE) for an optimized crystal structure of RbCoCl3.

```
10
Lattice="7.1599 0.0000 0.0000 -3.5799 6.2006 0.0000 0.0000 0.0000 5.8935" Properties=species:S:1:pos:R:3 pbc="T T T"
Rb 0.0000 4.1338 1.4734
Rb 3.5799 2.0669 4.4202
Co 0.0000 0.0000 0.0000
Co 0.0000 0.0000 2.9468
Cl 0.0000 1.9339 4.4202
Cl -1.9051 5.2337 4.4202
Cl 1.6748 0.9669 1.4734
Cl 1.9051 5.2337 4.4202
Cl 5.4851 0.9669 1.4734
Cl 3.5799 4.2668 1.4734
```

Summary:
**ΔE_f**: -147.7 kJ/mol of atoms
**Calculated density**: 3.183 g cm⁻³

=====

Density functional theory data (GGA-PBE) for an optimized crystal structure of Sc7CoCl12.

```
20
Lattice="6.7096 3.8738 3.1027 -6.7096 3.8738 3.1027 0.0000 -7.7475 3.1027" Properties=species:S:1:pos:R:3 pbc="T T T"
Sc 0.0000 0.0000 0.0000
Sc -1.9220 -0.5025 3.3085
Sc 1.3961 -1.4132 3.3085
Sc 0.5258 1.9157 3.3085
Sc -0.5258 -1.9157 5.9996
Sc -1.3961 1.4132 5.9996
Sc 1.9220 0.5025 5.9997
Co 0.0000 0.0000 4.6541
Cl -0.4979 -1.9455 1.5103
Cl -1.4359 1.4039 1.5103
Cl -2.6204 -2.6500 4.5430
Cl -3.6052 0.9444 4.7651
Cl 1.9338 0.5416 1.5103
Cl 0.9847 -3.5944 4.7651
Cl -0.9848 3.5944 4.5430
Cl -1.9338 -0.5416 7.7979
Cl 3.6052 -0.9444 4.5430
Cl 2.6204 2.6500 4.7651
Cl 1.4359 -1.4039 7.7979
Cl 0.4979 1.9455 7.7979
```

Summary:
**ΔE_f**: -208.5 kJ/mol of atoms
**Calculated density**: 2.742 g cm⁻³

=====

Density functional theory data (GGA-PBE) for an optimized crystal structure of Tb6CoCl10.

```
17
Lattice="7.1186 0.0000 0.0000 -2.5640 8.3744 0.0000 -1.0639 -3.4660 8.0205" Properties=species:S:1:pos:R:3 pbc="T T T"
Tb -0.7705 0.2605 3.1801
Tb -0.7368 3.7221 2.0408
Tb 0.2440 3.0245 5.5711
Tb 3.2466 1.8840 2.4494
Tb 4.2275 1.1863 5.9797
Tb 4.2612 4.6479 4.8404
Co -1.8140 2.4542 4.0102
Cl -1.9470 6.1324 2.6935
Cl 0.6636 1.4906 1.1561
Cl -0.7409 1.5548 7.6822
Cl -0.7088 5.3995 6.2744
Cl 1.7317 0.7313 4.6286
Cl 1.7589 4.1771 3.3919
Cl 4.1995 -0.4910 1.7461
Cl 4.2315 3.3537 0.3383
Cl 2.8271 3.4178 6.8644
Cl 5.4376 -1.2240 5.3270
```

Summary:
**ΔE_f**: -213.5 kJ/mol of atoms
**Calculated density**: 4.748 g cm⁻³

=====

Density functional theory data (GGA-PBE) for an optimized crystal structure of TlCoCl3.

```
10
Lattice="6.9879 0.0000 0.0000 -3.4939 6.0517 0.0000 0.0000 0.0000 5.8711" Properties=species:S:1:pos:R:3 pbc="T T T"
Tl 0.0000 4.0345 1.4678
Tl 3.4939 2.0172 4.4034
Co 0.0000 0.0000 0.0000
Co 0.0000 0.0000 2.9356
Cl 0.0000 1.9296 4.4034
Cl -1.8229 5.0869 4.4034
Cl 1.6711 0.9648 1.4678
Cl 1.8229 5.0869 4.4034
Cl 5.3168 0.9648 1.4678
Cl 3.4939 4.1221 1.4678
```

Summary:
**ΔE_f**: -108.2 kJ/mol of atoms
**Calculated density**: 4.945 g cm⁻³